1:
Density functional theory data (PBE with a Hubbard U) for an optimized crystal structure of LiMnCo3O8.

Summary:
* space-group type: P-1 (2)
* ρ: 4.30 g/cm3
* spin magnetization: 5.00 μB/f.u.

a b c (Å): 5.675 6.003 8.327
angles (deg): 85.99 89.99 89.93
Fractional positions:
Li  0.000  0.000  0.000
Li  0.500  0.500  0.500
Mn  0.000  0.000  0.500
Mn  0.500  0.500  0.000
Co  0.000  0.500  0.000
Co  0.249  0.252  0.254
Co  0.249  0.748  0.747
Co  0.500  0.000  0.500
Co  0.751  0.252  0.253
Co  0.751  0.748  0.746
O  0.000  0.036  0.266
O  0.000  0.964  0.734
O  0.001  0.548  0.753
O  0.247  0.284  0.025
O  0.248  0.718  0.975
O  0.253  0.217  0.480
O  0.254  0.783  0.520
O  0.500  0.047  0.270
O  0.500  0.465  0.236
O  0.500  0.535  0.764
O  0.500  0.953  0.730
O  0.746  0.217  0.480
O  0.747  0.783  0.520
O  0.752  0.282  0.025
O  0.753  0.716  0.975
O  0.999  0.452  0.247

***

2:
Density functional theory data (PBE with a Hubbard U) for an optimized crystal structure of LiMnCo3O8.

Summary:
* space-group type: P1 (1)
* ρ: 4.37 g/cm3
* spin magnetization: 3.00 μB/f.u.

a b c (Å): 5.680 5.966 9.830
angles (deg): 73.70 89.87 61.89
Fractional positions:
Li  0.000  0.000  0.000
Li  0.494  0.015  0.484
Mn  0.248  0.505  0.743
Mn  0.749  0.510  0.239
Co  0.000  0.505  0.992
Co  0.248  0.508  0.241
Co  0.497  0.508  0.491
Co  0.498  0.505  0.993
Co  0.749  0.507  0.742
Co  0.998  0.509  0.491
O  0.091  0.307  0.857
O  0.097  0.312  0.362
O  0.154  0.703  0.877
O  0.155  0.696  0.380
O  0.345  0.320  0.106
O  0.346  0.310  0.603
O  0.397  0.707  0.121
O  0.406  0.704  0.624
O  0.592  0.312  0.362
O  0.602  0.307  0.859
O  0.649  0.708  0.378
O  0.656  0.690  0.874
O  0.841  0.322  0.605
O  0.844  0.308  0.107
O  0.897  0.705  0.624
O  0.904  0.706  0.123

***

3:
Density functional theory data (PBE with a Hubbard U) for an optimized crystal structure of LiMnCo3O8.

Summary:
* space-group type: P1 (1)
* ρ: 4.25 g/cm3
* spin magnetization: 5.00 μB/f.u.

a b c (Å): 5.729 5.974 9.988
angles (deg): 104.96 90.65 118.44
Fractional positions:
Li  0.000  0.000  0.000
Li  0.492  0.995  0.497
Mn  0.246  0.497  0.249
Mn  0.748  0.497  0.749
Co  0.001  0.500  0.500
Co  0.248  0.497  0.749
Co  0.493  0.495  0.998
Co  0.499  0.497  0.499
Co  0.747  0.498  0.249
Co  0.995  0.498  0.998
O  0.085  0.697  0.871
O  0.105  0.697  0.369
O  0.146  0.300  0.894
O  0.152  0.306  0.387
O  0.340  0.688  0.109
O  0.347  0.694  0.603
O  0.390  0.299  0.128
O  0.410  0.297  0.627
O  0.588  0.696  0.370
O  0.590  0.686  0.864
O  0.650  0.305  0.887
O  0.651  0.302  0.397
O  0.840  0.694  0.102
O  0.845  0.691  0.612
O  0.904  0.298  0.127
O  0.906  0.308  0.634

***

Top of the stability list: 2, leading by 0.6 kJ/mol of atoms.